Compound: InHO2
Source: the Materials Project database
Functional: r²SCAN
Structure: relaxed

abc: 4.5239 5.2806 3.2885
angles: 90.00 90.00 90.00
Closest atoms and distances in Å follow each position.
Space group Pnnm (No. 58)
Asymmetric unit:
In (0.0000, 0.0000, 0.0000) x2  6 O 2.19
H (0.0000, 0.5000, 0.0000) x2  2 O 1.21
O (0.2203, 0.3694, 0.0000) x4  1 H 1.21



Compound: In2H5Se3O12
Source: the Materials Project database
Functional: r²SCAN
Structure: relaxed

abc: 6.4054 10.0531 10.9958
angles: 93.05 105.68 94.79
Closest atoms and distances in Å follow each position.
Space group P-1 (No. 2)
Asymmetric unit:
In (0.0000, 0.0000, 0.0000) x1  2 H 1.69
In (0.0000, 0.5000, 0.0000) x1  4 O 2.76-2.96
In (0.2918, 0.2360, 0.5694) x2  1 H 1.70
H (0.0219, 0.2574, 0.5319) x2  1 In 1.70
H (0.1342, 0.9302, 0.9042) x2  1 In 1.69
H (0.2459, 0.5349, 0.5141) x2  1 O 0.99
H (0.3150, 0.8741, 0.5418) x2  1 O 0.99
H (0.4858, 0.6813, 0.9302) x2  1 O 0.99
Se (0.2786, 0.2784, 0.8773) x2  4 O 1.63-1.74
Se (0.3917, 0.0148, 0.3232) x2  4 O 1.61-1.74
Se (0.4564, 0.4458, 0.3264) x2  4 O 1.61-1.74
O (0.0985, 0.2232, 0.9489) x2  1 Se 1.64
O (0.2303, 0.0993, 0.3835) x2  1 Se 1.64
O (0.2319, 0.4277, 0.8325) x2  1 Se 1.63
O (0.2803, 0.5882, 0.5970) x2  1 H 0.99
O (0.3006, 0.1721, 0.7637) x2  1 Se 1.64
O (0.3038, 0.3982, 0.4191) x2  1 Se 1.65, 1 H 1.80
O (0.3288, 0.9948, 0.1713) x2  1 Se 1.61
O (0.3473, 0.9011, 0.6332) x2  1 H 0.99
O (0.3866, 0.3624, 0.1899) x2  1 Se 1.61, 1 H 1.78
O (0.4174, 0.8717, 0.3960) x2  1 Se 1.68
O (0.4514, 0.6095, 0.3198) x2  1 Se 1.65
O (0.4656, 0.7119, 0.0131) x2  1 H 0.99



Compound: K2MgH8N4
Source: the Materials Project database
Functional: r²SCAN
Structure: relaxed

abc: 7.2939 6.9887 13.4073
angles: 90.00 105.13 90.00
Closest atoms and distances in Å follow each position.
Space group P2_1/c (No. 14)
Asymmetric unit:
K (0.0788, 0.1339, 0.3930) x4  7 H 2.74-2.94, 5 N 2.84-2.97
K (0.4186, 0.6506, 0.1051) x4  9 H 2.68-2.99, 3 N 2.93-2.98
Mg (0.2059, 0.2048, 0.1540) x4  4 N 2.05-2.10
H (0.1054, 0.6141, 0.4890) x4  1 N 1.02
H (0.1534, 0.0172, 0.7912) x4  1 N 1.02
H (0.1637, 0.6423, 0.7505) x4  1 N 1.02
H (0.1691, 0.7280, 0.4003) x4  1 N 1.02
H (0.3721, 0.0079, 0.7936) x4  1 N 1.02
H (0.3811, 0.1185, 0.0138) x4  1 N 1.03
H (0.3827, 0.6146, 0.7571) x4  1 N 1.02
H (0.4745, 0.7461, 0.4021) x4  1 N 1.02
N (0.0696, 0.7308, 0.4417) x4  2 H 1.02
N (0.2458, 0.0602, 0.7501) x4  2 H 1.02
N (0.2577, 0.5416, 0.7402) x4  2 H 1.02
N (0.3862, 0.2410, 0.0566) x4  2 H 1.02-1.03



Compound: K2MgH12S2O14
Source: the Materials Project database
Functional: r²SCAN
Structure: relaxed

abc: 6.0692 12.0718 8.9904
angles: 90.00 104.34 90.00
Closest atoms and distances in Å follow each position.
Space group P2_1/c (No. 14)
Asymmetric unit:
K (0.1593, 0.1586, 0.3674) x4  7 O 2.70-3.02, 1 H 2.94
Mg (0.5000, 0.0000, 0.0000) x2  6 O 2.02-2.10
H (0.1544, 0.5602, 0.6027) x4  1 O 0.98
H (0.1600, 0.6466, 0.4721) x4  1 O 0.98
H (0.1749, 0.0872, 0.7805) x4  1 O 0.98
H (0.4090, 0.1262, 0.7495) x4  1 O 0.98
H (0.4257, 0.5999, 0.2283) x4  1 O 0.99
H (0.4968, 0.6913, 0.3558) x4  1 O 0.98
S (0.2220, 0.6333, 0.9103) x4  4 O 1.47-1.49
O (0.0683, 0.7295, 0.9048) x4  1 S 1.48, 1 H 1.66
O (0.1157, 0.5571, 0.7837) x4  1 S 1.48
O (0.2013, 0.5703, 0.5067) x4  2 H 0.98
O (0.2510, 0.5745, 0.0571) x4  1 S 1.47
O (0.3312, 0.1105, 0.8307) x4  2 H 0.98
O (0.4458, 0.6718, 0.8910) x4  1 S 1.49
O (0.4703, 0.1148, 0.1701) x4  2 H 0.98-0.99



Number 1: energy of formation from the pure elements -1.5709 eV per atom, magnetic moment 0.00 μB per formula unit. Number 2: energy of formation from the pure elements -0.6921 eV per atom, magnetic moment 0.00 μB per formula unit. Number 3: energy of formation from the pure elements -0.5258 eV per atom, magnetic moment 0.00 μB per formula unit. Number 4: energy of formation from the pure elements -1.5045 eV per atom, magnetic moment 0.00 μB per formula unit.